(1)
Density functional theory data (PBE+U) for a geometry-optimized SrGdCo2O6 structure.

Summary:
formation energy	-1584	meV/atom

```
SrGdCo2O6
1.0
-2.985 1.560 4.217
-4.283 3.195 -0.760
-4.983 -1.966 0.654
Co O Gd Sr
2 6 1 1
Direct
0.250 0.250 0.250
0.750 0.750 0.750
0.000 0.500 0.000
0.500 0.000 0.500
0.500 0.500 0.000
0.000 0.000 0.500
0.500 0.000 0.000
0.000 0.500 0.500
0.000 0.000 0.000
0.500 0.500 0.500
```

---

(2)
Density functional theory data (PBE+U) for a geometry-optimized SrGd2Co2O7 structure.

Summary:
formation energy	-2639	meV/atom

```
SrGd2Co2O7
1.0
-1.020 -3.511 4.055
0.992 -4.180 -3.370
19.052 0.389 5.128
O Gd Sr Co
28 8 4 8
Direct
0.500 0.000 0.606
0.000 0.000 0.407
0.500 0.500 0.377
0.703 0.297 0.793
0.797 0.797 0.707
0.500 0.500 0.093
0.000 0.500 0.106
0.000 0.500 0.894
0.714 0.714 0.500
0.203 0.203 0.707
0.797 0.797 0.293
0.297 0.703 0.207
0.297 0.703 0.793
0.000 0.000 0.593
0.214 0.786 0.000
0.000 0.500 0.606
0.500 0.000 0.394
0.203 0.203 0.293
0.500 0.000 0.894
0.500 0.500 0.623
0.000 0.000 0.877
0.000 0.500 0.394
0.500 0.500 0.907
0.703 0.297 0.207
0.286 0.286 0.500
0.786 0.214 0.000
0.000 0.000 0.123
0.500 0.000 0.106
0.730 0.730 0.181
0.730 0.730 0.819
0.770 0.230 0.681
0.230 0.770 0.681
0.770 0.230 0.319
0.230 0.770 0.319
0.270 0.270 0.819
0.270 0.270 0.181
0.257 0.257 0.000
0.757 0.243 0.500
0.743 0.743 0.000
0.243 0.757 0.500
0.745 0.745 0.401
0.255 0.255 0.401
0.745 0.745 0.599
0.755 0.245 0.901
0.255 0.255 0.599
0.755 0.245 0.099
0.245 0.755 0.099
0.245 0.755 0.901
```

---

(3)
Density functional theory data (PBE+U) for a geometry-optimized SrGdCoO4 structure.

Summary:
polymorph energy (0 for the lowest one)	28	meV per atom
formation energy	-2697	meV/atom

```
SrGdCoO4
1.0
2.673 -6.057 0.000
2.673 6.057 0.000
0.000 0.000 5.375
O Gd Sr Co
8 2 2 2
Direct
0.500 0.000 0.500
0.407 0.593 0.250
0.593 0.407 0.750
0.927 0.073 0.750
0.073 0.927 0.250
0.000 0.500 0.500
0.500 0.000 0.000
0.000 0.500 0.000
0.116 0.884 0.750
0.884 0.116 0.250
0.604 0.396 0.250
0.396 0.604 0.750
0.751 0.249 0.750
0.249 0.751 0.250
```

---

(4)
Density functional theory data (PBE+U) for a geometry-optimized SrGdCoO4 structure.

Summary:
polymorph energy (0 for the lowest one)	0	meV per atom
formation energy	-2725	meV/atom

```
SrGdCoO4
1.0
-1.891 1.891 6.070
1.891 -1.891 6.070
1.891 1.891 -6.070
Sr Co O Gd
1 1 4 1
Direct
0.643 0.643 0.000
0.005 0.005 0.000
0.988 0.488 0.500
0.841 0.841 0.000
0.172 0.172 0.000
0.488 0.988 0.500
0.363 0.363 0.000
```